{
  "formula": "SrV2Co2O8",
  "functional": "PBE with a Hubbard U",
  "state": "optimized geometry",
  "lattice_angstrom": [[-6.2260, 6.2260, 4.2548], [6.2260, -6.2260, 4.2548], [6.2260, 6.2260, -4.2548]],
  "species": ["Sr", "Sr", "Sr", "Sr", "V", "V", "V", "V", "V", "V", "V", "V", "Co", "Co", "Co", "Co", "Co", "Co", "Co", "Co", "O", "O", "O", "O", "O", "O", "O", "O", "O", "O", "O", "O", "O", "O", "O", "O", "O", "O", "O", "O", "O", "O", "O", "O", "O", "O", "O", "O", "O", "O", "O", "O"],
  "frac_coords": [[0.0000, 0.0000, 0.0000], [0.2500, 0.7500, 0.5000], [0.5000, 0.5000, 0.0000], [0.7500, 0.2500, 0.5000], [0.0853, 0.9265, 0.6821], [0.1532, 0.3353, 0.6588], [0.1765, 0.8353, 0.1821], [0.2444, 0.4032, 0.3179], [0.5853, 0.9032, 0.1588], [0.6532, 0.9944, 0.8179], [0.6765, 0.4944, 0.3412], [0.7444, 0.4265, 0.8412], [0.1141, 0.4500, 0.9975], [0.2000, 0.7025, 0.8359], [0.3666, 0.2025, 0.5025], [0.4525, 0.1166, 0.0025], [0.6141, 0.6166, 0.6641], [0.7000, 0.8641, 0.4975], [0.8666, 0.3641, 0.1641], [0.9525, 0.9500, 0.3359], [0.0655, 0.3950, 0.3259], [0.0691, 0.7397, 0.6741], [0.1083, 0.6181, 0.1738], [0.1367, 0.9771, 0.5247], [0.1450, 0.3191, 0.8295], [0.1492, 0.5093, 0.6477], [0.1845, 0.1942, 0.3262], [0.2271, 0.8867, 0.0247], [0.2515, 0.3992, 0.1398], [0.2593, 0.1116, 0.8602], [0.3616, 0.0093, 0.3602], [0.3619, 0.3867, 0.6595], [0.3681, 0.6942, 0.0097], [0.4442, 0.9345, 0.8262], [0.4524, 0.6119, 0.4753], [0.4897, 0.3155, 0.1705], [0.5655, 0.2397, 0.6705], [0.5691, 0.8950, 0.3295], [0.6083, 0.4345, 0.4903], [0.6367, 0.1119, 0.1595], [0.6450, 0.8155, 0.8259], [0.6492, 0.0015, 0.6398], [0.6845, 0.3583, 0.9903], [0.7271, 0.7024, 0.3405], [0.7515, 0.6116, 0.8523], [0.7593, 0.8992, 0.1477], [0.8619, 0.2024, 0.9753], [0.8616, 0.5015, 0.3523], [0.8681, 0.8583, 0.6738], [0.9442, 0.1181, 0.5097], [0.9524, 0.4771, 0.8405], [0.9897, 0.8191, 0.1741]],
  "volume_a3_per_atom": 12.69,
  "formation_enthalpy_0k_ev_per_atom": -2.26,
  "crystal_system": "tetragonal"
}

=====

{
  "formula": "Sr2CoWO6",
  "functional": "PBE with a Hubbard U",
  "state": "optimized geometry",
  "lattice_angstrom": [[1.9136, -3.1630, 4.1991], [-3.4559, -3.8948, 2.3672], [5.0369, -7.3047, -4.0712]],
  "species": ["Sr", "Sr", "Sr", "Sr", "Co", "Co", "W", "W", "O", "O", "O", "O", "O", "O", "O", "O", "O", "O", "O", "O"],
  "frac_coords": [[0.2501, 0.3750, 0.1249], [0.2503, 0.8751, 0.6250], [0.7497, 0.6249, 0.8750], [0.7499, 0.1250, 0.3751], [0.5000, 0.7500, 0.2500], [0.5000, 0.2500, 0.7500], [0.0001, 0.5000, 0.4999], [0.9999, 0.0000, 0.0001], [0.7637, 0.3544, 0.1183], [0.7638, 0.8545, 0.6183], [0.2362, 0.6455, 0.8817], [0.2363, 0.1456, 0.3817], [0.2861, 0.0997, 0.9001], [0.2860, 0.6000, 0.4001], [0.7140, 0.9000, 0.0999], [0.7139, 0.4003, 0.5999], [0.8001, 0.1433, 0.8571], [0.8002, 0.6431, 0.3570], [0.1998, 0.8569, 0.1430], [0.1999, 0.3567, 0.6429]],
  "volume_a3_per_atom": 12.93,
  "formation_enthalpy_0k_ev_per_atom": -2.60
}

=====

{
  "formula": "Sr2CoWO6",
  "functional": "PBE with a Hubbard U",
  "state": "optimized geometry",
  "lattice_angstrom": [[4.9091, -2.8405, 0.0000], [4.9091, 2.8405, 0.0000], [-3.1523, 0.0000, 9.3218]],
  "species": ["Sr", "Sr", "Sr", "Sr", "Co", "Co", "W", "W", "O", "O", "O", "O", "O", "O", "O", "O", "O", "O", "O", "O"],
  "frac_coords": [[0.1217, 0.1217, 0.3727], [0.3768, 0.3768, 0.1270], [0.6232, 0.6232, 0.8730], [0.8783, 0.8783, 0.6273], [0.0000, 0.0000, 0.0000], [0.5000, 0.5000, 0.5000], [0.2502, 0.2502, 0.7498], [0.7498, 0.7498, 0.2502], [0.1268, 0.6447, 0.3534], [0.1431, 0.6273, 0.8530], [0.1603, 0.1603, 0.9009], [0.3399, 0.3399, 0.5993], [0.3553, 0.8732, 0.6466], [0.3727, 0.8569, 0.1470], [0.6273, 0.1431, 0.8530], [0.6447, 0.1268, 0.3534], [0.6601, 0.6601, 0.4007], [0.8397, 0.8397, 0.0991], [0.8569, 0.3727, 0.1470], [0.8732, 0.3553, 0.6466]],
  "volume_a3_per_atom": 13.00,
  "formation_enthalpy_0k_ev_per_atom": -2.61,
  "crystal_system": "monoclinic"
}

=====

{
  "formula": "Sr2CoWO6",
  "functional": "PBE with a Hubbard U",
  "state": "optimized geometry",
  "lattice_angstrom": [[5.7227, 0.0000, 0.0000], [0.0000, 5.6798, 0.0000], [-5.7124, 0.0000, 7.9907]],
  "species": ["Sr", "Sr", "Sr", "Sr", "Co", "Co", "W", "W", "O", "O", "O", "O", "O", "O", "O", "O", "O", "O", "O", "O"],
  "frac_coords": [[0.2489, 0.0128, 0.2511], [0.2489, 0.4872, 0.7511], [0.7511, 0.5128, 0.2489], [0.7511, 0.9872, 0.7489], [0.5000, 0.0000, 0.0000], [0.5000, 0.5000, 0.5000], [0.0000, 0.0000, 0.5000], [0.0000, 0.5000, 0.0000], [0.1906, 0.2395, 0.9711], [0.1906, 0.2605, 0.4711], [0.2318, 0.7214, 0.9731], [0.2318, 0.7786, 0.4731], [0.2950, 0.0076, 0.7415], [0.2950, 0.4924, 0.2415], [0.7050, 0.5076, 0.7585], [0.7050, 0.9924, 0.2585], [0.7682, 0.2214, 0.5269], [0.7682, 0.2786, 0.0269], [0.8094, 0.7395, 0.5289], [0.8094, 0.7605, 0.0289]],
  "volume_a3_per_atom": 12.99,
  "formation_enthalpy_0k_ev_per_atom": -2.61,
  "crystal_system": "monoclinic"
}